# 1
# Si2SbO6 PBE relaxed
# Energy of formation: -2.599 eV per atom
# Polymorph energy (0 for the lowest one): 0.33 eV/f.u.
data_Si2SbO6
_space_group_name_H-M_alt 'P b c a'
_space_group_IT_number 61
_space_group_name_Hall '-P 2ac 2ab'
_cell_length_a 5.231
_cell_length_b 19.515
_cell_length_c 10.218
_cell_angle_alpha 90.00
_cell_angle_beta 90.00
_cell_angle_gamma 90.00
loop_
_atom_site_label
_atom_site_type_symbol
_atom_site_fract_x
_atom_site_fract_y
_atom_site_fract_z
_atom_site_occupancy
Si1 Si 0.103 0.234 0.167 1
Si2 Si 0.243 0.015 0.334 1
Sb1 Sb 0.067 0.626 0.985 1
O1 O 0.013 0.038 0.234 1
O2 O 0.110 0.183 0.643 1
O3 O 0.142 0.193 0.028 1
O4 O 0.173 0.711 0.270 1
O5 O 0.217 0.056 0.474 1
O6 O 0.244 0.568 0.857 1

# 2
# Sr2TlPb PBE relaxed
# Energy of formation: -0.492 eV per atom
data_Sr2TlPb
_space_group_name_H-M_alt 'F m -3 m'
_space_group_IT_number 225
_space_group_name_Hall '-F 4 2 3'
_cell_length_a 8.285
_cell_length_b 8.285
_cell_length_c 8.285
_cell_angle_alpha 90.00
_cell_angle_beta 90.00
_cell_angle_gamma 90.00
loop_
_atom_site_label
_atom_site_type_symbol
_atom_site_fract_x
_atom_site_fract_y
_atom_site_fract_z
_atom_site_occupancy
Sr1 Sr 0.250 0.250 0.250 1
Tl1 Tl 0.000 0.000 0.000 1
Pb1 Pb 0.000 0.000 0.500 1

# 3
# LiPdN PBE relaxed
# Energy of formation: -0.073 eV per atom
# Polymorph energy (0 for the lowest one): 0.00 eV/f.u.
data_LiPdN
_space_group_name_H-M_alt 'P 4/m m m'
_space_group_IT_number 123
_space_group_name_Hall '-P 4 2'
_cell_length_a 3.066
_cell_length_b 3.066
_cell_length_c 3.829
_cell_angle_alpha 90.00
_cell_angle_beta 90.00
_cell_angle_gamma 90.00
loop_
_atom_site_label
_atom_site_type_symbol
_atom_site_fract_x
_atom_site_fract_y
_atom_site_fract_z
_atom_site_occupancy
Li1 Li 0.000 0.000 0.000 1
Pd1 Pd 0.500 0.500 0.500 1
N1 N 0.500 0.500 0.000 1

# 4
# CaTiF5 PBE relaxed
# Energy of formation: -3.894 eV per atom
# Polymorph energy (0 for the lowest one): 0.00 eV/f.u.
data_CaTiF5
_space_group_name_H-M_alt 'C 1 2/c 1'
_space_group_IT_number 15
_space_group_name_Hall '-C 2yc'
_cell_length_a 9.175
_cell_length_b 6.686
_cell_length_c 7.766
_cell_angle_alpha 90.00
_cell_angle_beta 114.85
_cell_angle_gamma 90.00
loop_
_atom_site_label
_atom_site_type_symbol
_atom_site_fract_x
_atom_site_fract_y
_atom_site_fract_z
_atom_site_occupancy
Ca1 Ca 0.000 0.041 0.250 1
Ti1 Ti 0.000 0.500 0.000 1
F1 F 0.000 0.404 0.250 1
F2 F 0.011 0.199 0.969 1
F3 F 0.228 0.480 0.618 1

# 5
# KNa3Al4Si4O16 PBE relaxed
# Energy of formation: -2.325 eV per atom
# Polymorph energy (0 for the lowest one): 23.31 eV/f.u.
data_KNa3Al4Si4O16
_space_group_name_H-M_alt 'P 63'
_space_group_IT_number 173
_space_group_name_Hall 'P 6c'
_cell_length_a 9.8374
_cell_length_b 9.8374
_cell_length_c 9.8291
_cell_angle_alpha 90.00
_cell_angle_beta 90.00
_cell_angle_gamma 120.00
loop_
_atom_site_label
_atom_site_type_symbol
_atom_site_fract_x
_atom_site_fract_y
_atom_site_fract_z
_atom_site_occupancy
K1 K 0.0000 0.0000 0.0000 1
Na1 Na 0.0196 0.4413 0.0015 1
Al1 Al 0.0863 0.3293 0.6977 1
Al2 Al 0.3333 0.6667 0.1786 1
Si1 Si 0.1208 0.3163 0.2671 1
Si2 Si 0.3333 0.6667 0.8364 1
O1 O 0.0297 0.2750 0.4258 1
O2 O 0.0356 0.8081 0.6792 1
O3 O 0.0988 0.4067 0.5263 1
O4 O 0.1633 0.4947 0.2275 1
O5 O 0.1749 0.5051 0.7898 1
O6 O 0.3333 0.6667 0.0017 1

# 6
# ZrAsOs PBE relaxed
# Energy of formation: -0.624 eV per atom
data_ZrAsOs
_space_group_name_H-M_alt 'P -6 2 m'
_space_group_IT_number 189
_space_group_name_Hall 'P -6 -2'
_cell_length_a 6.6073
_cell_length_b 6.6073
_cell_length_c 4.0083
_cell_angle_alpha 90.00
_cell_angle_beta 90.00
_cell_angle_gamma 120.00
loop_
_atom_site_label
_atom_site_type_symbol
_atom_site_fract_x
_atom_site_fract_y
_atom_site_fract_z
_atom_site_occupancy
Zr1 Zr 0.0000 0.4184 0.0000 1
As1 As 0.0000 0.0000 0.0000 1
As2 As 0.3333 0.6667 0.5000 1
Os1 Os 0.0000 0.7553 0.5000 1